Ca5Nd5Mn9CrO30: relaxed, GGA+U.

Cell: 5.434 5.484 38.599 Å, 90.04 90.04 90.07°
Element x y z (fractional)
1 Mn 0.999 0.499 0.902
2 Mn 0.999 0.499 0.999
3 Mn 0.001 0.498 0.499
4 Mn 0.501 0.000 0.199
5 Mn 0.999 0.499 0.702
6 Mn 0.001 0.498 0.299
7 Mn 0.501 0.002 0.500
8 Mn 0.500 0.999 0.902
9 Mn 0.000 0.499 0.599
10 Mn 0.500 0.999 0.702
11 Mn 0.500 0.001 0.399
12 Mn 0.501 0.999 0.102
13 Mn 0.000 0.499 0.400
14 Mn 0.501 0.002 0.300
15 Mn 0.001 0.498 0.799
16 Mn 0.999 0.499 0.102
17 Mn 0.000 0.499 0.199
18 Mn 0.501 0.000 0.999
19 O 0.713 0.286 0.108
20 O 0.416 0.981 0.549
21 O 0.575 0.017 0.250
22 O 0.081 0.478 0.950
23 O 0.221 0.220 0.691
24 O 0.278 0.721 0.009
25 O 0.221 0.221 0.009
26 O 0.084 0.476 0.751
27 O 0.713 0.286 0.908
28 O 0.715 0.292 0.592
29 O 0.922 0.515 0.250
30 O 0.414 0.974 0.750
31 O 0.716 0.283 0.391
32 O 0.786 0.785 0.107
33 O 0.714 0.286 0.992
34 O 0.786 0.786 0.908
35 O 0.717 0.282 0.192
36 O 0.217 0.224 0.610
37 O 0.219 0.218 0.292
38 O 0.788 0.786 0.192
39 O 0.575 0.012 0.851
40 O 0.921 0.517 0.449
41 O 0.422 0.983 0.350
42 O 0.571 0.011 0.050
43 O 0.279 0.714 0.609
44 O 0.783 0.781 0.308
45 O 0.928 0.510 0.050
46 O 0.222 0.221 0.091
47 O 0.715 0.293 0.792
48 O 0.786 0.786 0.708
49 O 0.420 0.977 0.150
50 O 0.926 0.511 0.850
51 O 0.277 0.722 0.091
52 O 0.081 0.480 0.150
53 O 0.796 0.786 0.792
54 O 0.283 0.718 0.408
55 O 0.782 0.783 0.391
56 O 0.218 0.218 0.208
57 O 0.577 0.017 0.450
58 O 0.786 0.785 0.992
59 O 0.221 0.221 0.891
60 O 0.284 0.717 0.291
61 O 0.284 0.717 0.491
62 O 0.278 0.716 0.810
63 O 0.718 0.281 0.508
64 O 0.078 0.481 0.550
65 O 0.218 0.217 0.408
66 O 0.278 0.720 0.891
67 O 0.577 0.013 0.651
68 O 0.789 0.781 0.591
69 O 0.077 0.483 0.350
70 O 0.217 0.223 0.810
71 O 0.720 0.281 0.308
72 O 0.711 0.286 0.708
73 O 0.418 0.977 0.950
74 O 0.926 0.512 0.650
75 O 0.782 0.782 0.508
76 O 0.278 0.722 0.691
77 O 0.218 0.217 0.491
78 O 0.279 0.721 0.209
79 Ca 0.514 0.539 0.751
80 Ca 0.988 0.040 0.750
81 Ca 0.490 0.461 0.249
82 Ca 0.986 0.040 0.950
83 Ca 0.988 0.039 0.151
84 Ca 0.489 0.460 0.449
85 Ca 0.512 0.539 0.950
86 Ca 0.990 0.040 0.349
87 Ca 0.513 0.538 0.151
88 Ca 0.989 0.039 0.549
89 Nd 0.492 0.463 0.050
90 Nd 0.512 0.539 0.549
91 Nd 0.008 0.961 0.850
92 Nd 0.011 0.962 0.449
93 Nd 0.008 0.962 0.050
94 Nd 0.492 0.461 0.850
95 Nd 0.511 0.538 0.349
96 Nd 0.010 0.962 0.249
97 Nd 0.009 0.962 0.651
98 Nd 0.491 0.461 0.651
99 Cr 0.502 0.998 0.799
100 Cr 0.500 0.000 0.599

Values from the calculation:
The calculation puts the spin magnetization at 34.0 μB/f.u. For the theoretical density, the calculation gives 5.6 Mg/m³. The value obtained for the total energy is -7.50 eV/atom. The crystal system is triclinic.